(1)
VASP calculation (GGA-PBE) on a relaxed Cl crystal.

Formation energy from the elements = 0.000 eV per atom
Symmetry = No. 64

Unit cell a=4.3892 b=4.3892 c=8.6015 alpha=90.00 beta=90.00 gamma=58.12
Closest atoms and distances in Å follow each position.
Element x y z (fractional)
Cl: 0.0972 0.9028 0.8935  1 Cl 2.01
Cl: 0.4028 0.5972 0.3935  1 Cl 2.01
Cl: 0.5972 0.4028 0.6065  1 Cl 2.01
Cl: 0.9028 0.0972 0.1065  1 Cl 2.01



(2)
VASP calculation (GGA-PBE) on a relaxed Cl crystal.

Formation energy from the elements = 0.035 eV per atom
Symmetry = No. 138

Unit cell a=11.7658 b=11.7658 c=8.2035 alpha=90.00 beta=90.00 gamma=90.00
Closest atoms and distances in Å follow each position.
Element x y z (fractional)
Cl: 0.0945 0.6439 0.1108  1 Cl 1.99
Cl: 0.0945 0.8561 0.6108  1 Cl 1.99
Cl: 0.1439 0.5945 0.8892  1 Cl 1.99
Cl: 0.1439 0.9055 0.3892  1 Cl 1.99
Cl: 0.3561 0.5945 0.3892  1 Cl 1.99
Cl: 0.3561 0.9055 0.8892  1 Cl 1.99
Cl: 0.4055 0.6439 0.6108  1 Cl 1.99
Cl: 0.4055 0.8561 0.1108  1 Cl 1.99
Cl: 0.5945 0.1439 0.8892  1 Cl 1.99
Cl: 0.5945 0.3561 0.3892  1 Cl 1.99
Cl: 0.6439 0.0945 0.1108  1 Cl 1.99
Cl: 0.6439 0.4055 0.6108  1 Cl 1.99
Cl: 0.8561 0.0945 0.6108  1 Cl 1.99
Cl: 0.8561 0.4055 0.1108  1 Cl 1.99
Cl: 0.9055 0.1439 0.3892  1 Cl 1.99
Cl: 0.9055 0.3561 0.8892  1 Cl 1.99



(3)
VASP calculation (GGA-PBE) on a relaxed Co3Cl crystal.

Formation energy from the elements = 0.573 eV per atom
Symmetry = No. 225

Unit cell a=4.1439 b=4.1439 c=4.1439 alpha=60.00 beta=60.00 gamma=60.00
Closest atoms and distances in Å follow each position.
Element x y z (fractional)
Co: 0.0000 0.0000 0.0000  8 Co 2.54
Co: 0.2500 0.2500 0.2500  4 Cl 2.54, 4 Co 2.54
Co: 0.7500 0.7500 0.7500  4 Cl 2.54, 4 Co 2.54
Cl: 0.5000 0.5000 0.5000  8 Co 2.54



(4)
VASP calculation (GGA-PBE) on a relaxed Cs3CoCl5 crystal.

Formation energy from the elements = -1.903 eV per atom
Symmetry = No. 140

Unit cell a=9.9068 b=9.9068 c=9.9068 alpha=122.88 beta=122.88 gamma=85.08
Closest atoms and distances in Å follow each position.
Element x y z (fractional)
Cs: 0.1687 0.6687 0.8373  8 Cl 3.49-3.68
Cs: 0.2500 0.2500 0.0000  10 Cl 3.65-3.93
Cs: 0.3313 0.1687 0.5000  8 Cl 3.49-3.68
Cs: 0.6687 0.8313 0.5000  8 Cl 3.49-3.68
Cs: 0.7500 0.7500 0.0000  10 Cl 3.65-3.93
Cs: 0.8313 0.3313 0.1627  8 Cl 3.49-3.68
Co: 0.2500 0.7500 0.5000  4 Cl 2.26
Co: 0.7500 0.2500 0.5000  4 Cl 2.26
Cl: 0.0000 0.0000 0.0000  6 Cs 3.52-3.65
Cl: 0.0218 0.7910 0.5000  1 Co 2.26
Cl: 0.2090 0.7090 0.2308  1 Co 2.26
Cl: 0.2910 0.5218 0.5000  1 Co 2.26
Cl: 0.4782 0.9782 0.7692  1 Co 2.26
Cl: 0.5000 0.5000 0.0000  6 Cs 3.52-3.65
Cl: 0.5218 0.0218 0.2308  1 Co 2.26
Cl: 0.7090 0.4782 0.5000  1 Co 2.26
Cl: 0.7910 0.2910 0.7692  1 Co 2.26
Cl: 0.9782 0.2090 0.5000  1 Co 2.26